[1]
! PaInCu2, relaxed, DFT meta-GGA r2SCAN; values from VASP
! - Formation enthalpy at 0 K: -0.10 eV per atom
! - Space-group type: Fm-3m
! - Raw total energy: -30.384 eV/atom
! - M_tot: 0.000 μB/atom
&SYSTEM
  ibrav = 0, nat = 4, ntyp = 3
/
ATOMIC_SPECIES
Pa 231.04 Pa.upf
In 114.82 In.upf
Cu 63.55 Cu.upf
CELL_PARAMETERS angstrom
0.000 3.318 3.318
3.318 0.000 3.318
3.318 3.318 0.000
ATOMIC_POSITIONS crystal
Pa 0.000 0.000 0.000
In 0.500 0.500 0.500
Cu 0.250 0.250 0.250
Cu 0.750 0.750 0.750


[2]
! LiYSe2, relaxed, DFT meta-GGA r2SCAN; values from VASP
! - Formation enthalpy at 0 K: -1.95 eV per atom
! - Space-group type: I4_1/amd
! - Raw total energy: -14.784 eV/atom
! - M_tot: 0.000 μB/atom
&SYSTEM
  ibrav = 0, nat = 8, ntyp = 3
/
ATOMIC_SPECIES
Li 6.94 Li.upf
Y 88.91 Y.upf
Se 78.96 Se.upf
CELL_PARAMETERS angstrom
-2.839 2.839 5.767
2.839 -2.839 5.767
2.839 2.839 -5.767
ATOMIC_POSITIONS crystal
Li 0.375 0.625 0.750
Li 0.625 0.375 0.250
Y 0.125 0.875 0.250
Y 0.875 0.125 0.750
Se 0.122 0.372 0.750
Se 0.372 0.122 0.250
Se 0.628 0.878 0.750
Se 0.878 0.628 0.250


[3]
! Er5C2Br9, relaxed, DFT meta-GGA r2SCAN; values from VASP
! - Formation enthalpy at 0 K: -1.83 eV per atom
! - Space-group type: P2_1/c
! - Raw total energy: -21.129 eV/atom
! - M_tot: 0.000 μB/atom
&SYSTEM
  ibrav = 0, nat = 64, ntyp = 3
/
ATOMIC_SPECIES
Er 167.26 Er.upf
C 12.01 C.upf
Br 79.90 Br.upf
CELL_PARAMETERS angstrom
9.948 0.000 0.000
0.000 16.264 0.000
-6.993 0.000 11.276
ATOMIC_POSITIONS crystal
Er 0.009 0.057 0.263
Er 0.009 0.443 0.763
Er 0.010 0.661 0.720
Er 0.010 0.839 0.220
Er 0.163 0.039 0.034
Er 0.163 0.461 0.534
Er 0.210 0.687 0.554
Er 0.210 0.813 0.054
Er 0.357 0.559 0.811
Er 0.357 0.941 0.311
Er 0.643 0.059 0.689
Er 0.643 0.441 0.189
Er 0.790 0.187 0.946
Er 0.790 0.313 0.446
Er 0.837 0.539 0.466
Er 0.837 0.961 0.966
Er 0.990 0.161 0.780
Er 0.990 0.339 0.280
Er 0.991 0.557 0.237
Er 0.991 0.943 0.737
C 0.073 0.529 0.669
C 0.073 0.971 0.169
C 0.126 0.589 0.618
C 0.126 0.911 0.118
C 0.874 0.089 0.882
C 0.874 0.411 0.382
C 0.927 0.029 0.831
C 0.927 0.471 0.331
Br 0.084 0.201 0.173
Br 0.084 0.299 0.673
Br 0.090 0.066 0.653
Br 0.090 0.434 0.153
Br 0.094 0.692 0.140
Br 0.094 0.808 0.640
Br 0.285 0.172 0.969
Br 0.285 0.328 0.469
Br 0.300 0.571 0.441
Br 0.300 0.929 0.941
Br 0.302 0.682 0.938
Br 0.302 0.818 0.438
Br 0.321 0.058 0.460
Br 0.321 0.442 0.960
Br 0.469 0.062 0.237
Br 0.469 0.438 0.737
Br 0.497 0.183 0.748
Br 0.497 0.317 0.248
Br 0.503 0.683 0.752
Br 0.503 0.817 0.252
Br 0.531 0.562 0.263
Br 0.531 0.938 0.763
Br 0.679 0.558 0.040
Br 0.679 0.942 0.540
Br 0.698 0.182 0.562
Br 0.698 0.318 0.062
Br 0.700 0.071 0.059
Br 0.700 0.429 0.559
Br 0.715 0.672 0.531
Br 0.715 0.828 0.031
Br 0.906 0.192 0.360
Br 0.906 0.308 0.860
Br 0.910 0.566 0.847
Br 0.910 0.934 0.347
Br 0.916 0.701 0.327
Br 0.916 0.799 0.827


[4]
! EuMoO4, relaxed, DFT meta-GGA r2SCAN; values from VASP
! - Formation enthalpy at 0 K: -2.80 eV per atom
! - Space-group type: I4_1/a
! - Raw total energy: -17.544 eV/atom
! - M_tot: 1.167 μB/atom
&SYSTEM
  ibrav = 0, nat = 12, ntyp = 3
/
ATOMIC_SPECIES
Eu 151.96 Eu.upf
Mo 95.94 Mo.upf
O 16.00 O.upf
CELL_PARAMETERS angstrom
-2.672 2.672 5.838
2.672 -2.672 5.838
2.672 2.672 -5.838
ATOMIC_POSITIONS crystal
Eu 0.375 0.125 0.250
Eu 0.625 0.875 0.750
Mo 0.125 0.375 0.750
Mo 0.875 0.625 0.250
O 0.060 0.218 0.363
O 0.198 0.560 0.342
O 0.282 0.144 0.842
O 0.356 0.698 0.137
O 0.644 0.302 0.863
O 0.718 0.856 0.158
O 0.802 0.440 0.658
O 0.940 0.782 0.637


[5]
! Rb3Ca2Cl7, relaxed, DFT meta-GGA r2SCAN; values from VASP
! - Formation enthalpy at 0 K: -2.43 eV per atom
! - Space-group type: I4/mmm
! - Raw total energy: -10.672 eV/atom
! - M_tot: 0.000 μB/atom
&SYSTEM
  ibrav = 0, nat = 12, ntyp = 3
/
ATOMIC_SPECIES
Rb 85.47 Rb.upf
Ca 40.08 Ca.upf
Cl 35.45 Cl.upf
CELL_PARAMETERS angstrom
-2.678 2.678 13.588
2.678 -2.678 13.588
2.678 2.678 -13.588
ATOMIC_POSITIONS crystal
Rb 0.000 0.000 0.000
Rb 0.183 0.183 0.000
Rb 0.817 0.817 0.000
Ca 0.400 0.400 0.000
Ca 0.600 0.600 0.000
Cl 0.096 0.596 0.500
Cl 0.301 0.301 0.000
Cl 0.404 0.904 0.500
Cl 0.500 0.500 0.000
Cl 0.596 0.096 0.500
Cl 0.699 0.699 0.000
Cl 0.904 0.404 0.500


[6]
! Ba2Ge2Se5, relaxed, DFT meta-GGA r2SCAN; values from VASP
! - Formation enthalpy at 0 K: -1.28 eV per atom
! - Space-group type: Pnma
! - Raw total energy: -18.198 eV/atom
! - M_tot: 0.000 μB/atom
&SYSTEM
  ibrav = 0, nat = 36, ntyp = 3
/
ATOMIC_SPECIES
Ba 137.33 Ba.upf
Ge 72.64 Ge.upf
Se 78.96 Se.upf
CELL_PARAMETERS angstrom
12.790 0.000 0.000
0.000 9.248 0.000
0.000 0.000 9.317
ATOMIC_POSITIONS crystal
Ba 0.178 0.004 0.123
Ba 0.178 0.496 0.123
Ba 0.322 0.504 0.623
Ba 0.322 0.996 0.623
Ba 0.678 0.004 0.377
Ba 0.678 0.496 0.377
Ba 0.822 0.504 0.877
Ba 0.822 0.996 0.877
Ge 0.037 0.750 0.475
Ge 0.097 0.750 0.818
Ge 0.403 0.250 0.318
Ge 0.463 0.250 0.975
Ge 0.537 0.750 0.025
Ge 0.597 0.750 0.682
Ge 0.903 0.250 0.182
Ge 0.963 0.250 0.525
Se 0.006 0.250 0.976
Se 0.059 0.546 0.674
Se 0.059 0.954 0.674
Se 0.216 0.750 0.383
Se 0.225 0.250 0.385
Se 0.275 0.750 0.885
Se 0.284 0.250 0.883
Se 0.441 0.046 0.174
Se 0.441 0.454 0.174
Se 0.494 0.750 0.476
Se 0.506 0.250 0.524
Se 0.559 0.546 0.826
Se 0.559 0.954 0.826
Se 0.716 0.750 0.117
Se 0.725 0.250 0.115
Se 0.775 0.750 0.615
Se 0.784 0.250 0.617
Se 0.941 0.046 0.326
Se 0.941 0.454 0.326
Se 0.994 0.750 0.024


[7]
! CoAgO2, relaxed, DFT meta-GGA r2SCAN; values from VASP
! - Formation enthalpy at 0 K: -1.00 eV per atom
! - Space-group type: P6_3/mmc
! - Raw total energy: -12.634 eV/atom
! - M_tot: 0.000 μB/atom
&SYSTEM
  ibrav = 0, nat = 8, ntyp = 3
/
ATOMIC_SPECIES
Co 58.93 Co.upf
Ag 107.87 Ag.upf
O 16.00 O.upf
CELL_PARAMETERS angstrom
2.862 0.000 0.000
-1.431 2.478 0.000
0.000 0.000 12.286
ATOMIC_POSITIONS crystal
Co 0.000 0.000 0.000
Co 0.000 0.000 0.500
Ag 0.333 0.667 0.250
Ag 0.667 0.333 0.750
O 0.333 0.667 0.078
O 0.333 0.667 0.422
O 0.667 0.333 0.578
O 0.667 0.333 0.922


[8]
! PmI3, relaxed, DFT meta-GGA r2SCAN; values from VASP
! - Formation enthalpy at 0 K: -1.60 eV per atom
! - Space-group type: P6_3/mmc
! - Raw total energy: -27.400 eV/atom
! - M_tot: 0.000 μB/atom
&SYSTEM
  ibrav = 0, nat = 8, ntyp = 2
/
ATOMIC_SPECIES
Pm 145.00 Pm.upf
I 126.90 I.upf
CELL_PARAMETERS angstrom
11.069 0.000 0.000
-5.534 9.586 0.000
0.000 0.000 4.096
ATOMIC_POSITIONS crystal
Pm 0.333 0.667 0.250
Pm 0.667 0.333 0.750
I 0.211 0.421 0.750
I 0.211 0.789 0.750
I 0.421 0.211 0.250
I 0.579 0.789 0.750
I 0.789 0.211 0.250
I 0.789 0.579 0.250